Computed, not measured: a geometry-optimized MoP4O13 structure at the GGA+U level of DFT.

a b c (Å): 7.1180 8.3350 17.3867
angles (deg): 90.00 90.00 90.00
Element x y z (fractional)
O 0.1071 0.9372 0.5787
O 0.8935 0.2641 0.3723
O 0.2472 0.2194 0.1959
O 0.7472 0.2806 0.8041
O 0.3935 0.2359 0.6277
O 0.8262 0.0062 0.2863
O 0.7082 0.3326 0.5887
O 0.3262 0.4938 0.7137
O 0.4192 0.6677 0.3016
O 0.3562 0.9434 0.2140
O 0.4694 0.6742 0.1471
O 0.2528 0.7806 0.6959
O 0.2918 0.8326 0.9113
O 0.8526 0.9743 0.0994
O 0.6071 0.5628 0.4213
O 0.6474 0.0257 0.5994
O 0.8929 0.4372 0.9213
O 0.1474 0.4743 0.4006
O 0.9269 0.2960 0.2172
O 0.5035 0.7091 0.0072
O 0.1738 0.5062 0.2137
O 0.8562 0.5566 0.7860
O 0.5306 0.1742 0.3529
O 0.0808 0.3323 0.8016
O 0.4290 0.9278 0.4288
O 0.1065 0.7641 0.1277
O 0.0710 0.0722 0.9288
O 0.9192 0.8323 0.6984
O 0.9297 0.8767 0.4141
O 0.7528 0.7194 0.3041
O 0.3929 0.0628 0.0787
O 0.0731 0.7960 0.2828
O 0.6065 0.7359 0.8723
O 0.4965 0.2091 0.4928
O 0.6738 0.9938 0.7863
O 0.2082 0.1674 0.4113
O 0.7918 0.6674 0.0887
O 0.9290 0.5722 0.5712
O 0.6438 0.4434 0.2860
O 0.4297 0.6233 0.5859
O 0.1438 0.0566 0.7140
O 0.3526 0.5257 0.9006
O 0.0703 0.3767 0.0859
O 0.9965 0.2909 0.5072
O 0.0035 0.7909 0.9928
O 0.0306 0.3258 0.6471
O 0.5703 0.1233 0.9141
O 0.4269 0.2040 0.7828
O 0.5731 0.7040 0.7172
O 0.5808 0.1677 0.1984
O 0.9694 0.8258 0.8529
O 0.5710 0.4278 0.0712
Mo 0.7662 0.7756 0.7835
Mo 0.2662 0.7244 0.2165
Mo 0.2338 0.2756 0.7165
Mo 0.7338 0.2244 0.2835
P 0.4315 0.6823 0.9205
P 0.5819 0.6022 0.0770
P 0.3971 0.0944 0.1612
P 0.4181 0.1022 0.4230
P 0.8982 0.8538 0.3319
P 0.1018 0.3538 0.1681
P 0.6029 0.5944 0.3388
P 0.0819 0.8978 0.9230
P 0.9181 0.3978 0.5770
P 0.1029 0.9056 0.6612
P 0.5685 0.1823 0.5795
P 0.3982 0.6462 0.6681
P 0.9315 0.8177 0.0795
P 0.8971 0.4056 0.8388
P 0.0685 0.3177 0.4205
P 0.6018 0.1462 0.8319

The raw total energy comes out at -0.258 Ha/atom. The calculation puts the energy relative to the elements at -2.3068 eV per atom. For the excess energy over the best structure of this formula in the dataset, the calculation gives 0 meV per atom. Its space group is P2_12_12_1, No. 19.

---

Computed, not measured: a geometry-optimized NiH14C3NCl3O2 structure at the GGA+U level of DFT.

a b c (Å): 7.1093 9.0222 16.6702
angles (deg): 90.00 90.00 90.00
Element x y z (fractional)
C 0.7500 0.5220 0.8278
C 0.2500 0.4780 0.1722
C 0.9237 0.7629 0.2708
C 0.9237 0.7371 0.7708
C 0.0763 0.2629 0.2292
C 0.2500 0.0220 0.6722
C 0.5763 0.7371 0.7708
C 0.4237 0.2371 0.7292
C 0.5763 0.7629 0.2708
C 0.7500 0.9780 0.3278
C 0.4237 0.2629 0.2292
C 0.0763 0.2371 0.7292
H 0.3041 0.7913 0.4459
H 0.0385 0.7984 0.3106
H 0.8782 0.9978 0.3630
H 0.1959 0.7087 0.9459
H 0.0910 0.1422 0.2302
H 0.0468 0.1991 0.7914
H 0.3041 0.7087 0.9459
H 0.2500 0.2951 0.5405
H 0.4090 0.3578 0.7302
H 0.7500 0.4435 0.7764
H 0.1959 0.7913 0.4459
H 0.4615 0.7984 0.3106
H 0.3782 0.0022 0.6370
H 0.5468 0.6991 0.7086
H 0.9532 0.6991 0.7086
H 0.7500 0.7049 0.4595
H 0.9090 0.8578 0.7698
H 0.4532 0.3009 0.2914
H 0.6959 0.2913 0.0541
H 0.8782 0.5022 0.8630
H 0.6218 0.9978 0.3630
H 0.5385 0.2016 0.6894
H 0.0385 0.7016 0.8106
H 0.1218 0.4978 0.1370
H 0.4307 0.2270 0.4865
H 0.9615 0.2016 0.6894
H 0.1218 0.0022 0.6370
H 0.9532 0.8009 0.2086
H 0.5693 0.7730 0.5135
H 0.4532 0.1991 0.7914
H 0.2500 0.2049 0.0405
H 0.9307 0.7730 0.5135
H 0.8041 0.2913 0.0541
H 0.7500 0.0565 0.2764
H 0.2500 0.5565 0.2236
H 0.5468 0.8009 0.2086
H 0.6959 0.2087 0.5541
H 0.9307 0.7270 0.0135
H 0.7500 0.7951 0.9595
H 0.5910 0.6422 0.2698
H 0.0693 0.2730 0.9865
H 0.0468 0.3009 0.2914
H 0.4090 0.1422 0.2302
H 0.8041 0.2087 0.5541
H 0.0693 0.2270 0.4865
H 0.9090 0.6422 0.2698
H 0.9615 0.2984 0.1894
H 0.4615 0.7016 0.8106
H 0.5385 0.2984 0.1894
H 0.6218 0.5022 0.8630
H 0.5693 0.7270 0.0135
H 0.2500 0.9435 0.7236
H 0.0910 0.3578 0.7302
H 0.3782 0.4978 0.1370
H 0.5910 0.8578 0.7698
H 0.4307 0.2730 0.9865
Cl 0.2500 0.4397 0.8964
Cl 0.7500 0.9945 0.1059
Cl 0.2500 0.0603 0.3964
Cl 0.7500 0.4044 0.4092
Cl 0.7500 0.5055 0.6059
Cl 0.7500 0.9397 0.6036
Cl 0.2500 0.4945 0.3941
Cl 0.2500 0.9044 0.0908
Cl 0.2500 0.5956 0.5908
Cl 0.7500 0.0956 0.9092
Cl 0.2500 0.0055 0.8941
Cl 0.7500 0.5603 0.1036
N 0.2500 0.1702 0.7040
N 0.7500 0.6702 0.7960
N 0.2500 0.3298 0.2040
N 0.7500 0.8298 0.2960
O 0.4198 0.2937 0.5328
O 0.9198 0.7937 0.9672
O 0.0802 0.2063 0.0328
O 0.5802 0.7063 0.4672
O 0.0802 0.2937 0.5328
O 0.4198 0.2063 0.0328
O 0.9198 0.7063 0.4672
O 0.5802 0.7937 0.9672
Ni 0.0000 0.5000 0.5000
Ni 0.5000 0.5000 0.5000
Ni 0.0000 0.0000 0.0000
Ni 0.5000 0.0000 0.0000

The raw total energy comes out at -0.168 Ha/atom. The calculation puts the energy relative to the elements at -0.3584 eV per atom. For the excess energy over the best structure of this formula in the dataset, the calculation gives 223 meV per atom. Its space group is Pnma, No. 62.

---

Computed, not measured: a geometry-optimized P2WO8 structure at the GGA+U level of DFT.

a b c (Å): 12.9885 4.9914 11.4825
angles (deg): 69.95 90.00 90.00
Element x y z (fractional)
O 0.0496 0.1402 0.7999
O 0.0946 0.1264 0.0185
O 0.0542 0.0753 0.3629
O 0.3382 0.7608 0.7479
O 0.8082 0.6493 0.8252
O 0.4504 0.1402 0.2999
O 0.5162 0.4327 0.6375
O 0.1618 0.7608 0.2479
O 0.5496 0.8598 0.7001
O 0.9458 0.9247 0.6371
O 0.4458 0.0753 0.8629
O 0.8001 0.5826 0.1586
O 0.1999 0.4174 0.8414
O 0.5946 0.8736 0.4815
O 0.3082 0.3507 0.6748
O 0.4054 0.1264 0.5185
O 0.9838 0.4327 0.1375
O 0.3235 0.7630 0.1146
O 0.4838 0.5673 0.3625
O 0.8382 0.2392 0.7521
O 0.6618 0.2392 0.2521
O 0.3001 0.4174 0.3414
O 0.9054 0.8736 0.9815
O 0.8235 0.2370 0.3854
O 0.6999 0.5826 0.6586
O 0.5542 0.9247 0.1371
O 0.1918 0.3507 0.1748
O 0.9504 0.8598 0.2001
O 0.6765 0.2370 0.8854
O 0.0162 0.5673 0.8625
O 0.6918 0.6493 0.3252
O 0.1765 0.7630 0.6146
P 0.2493 0.5938 0.2065
P 0.0870 0.3074 0.8838
P 0.4130 0.3074 0.3838
P 0.9130 0.6926 0.1162
P 0.5870 0.6926 0.6162
P 0.2507 0.5938 0.7065
P 0.7507 0.4062 0.7935
P 0.7493 0.4062 0.2935
W 0.0730 0.0941 0.2124
W 0.4270 0.0941 0.7124
W 0.9270 0.9059 0.7876
W 0.5730 0.9059 0.2876

The raw total energy comes out at -0.267 Ha/atom. The calculation puts the energy relative to the elements at -2.4034 eV per atom. For the excess energy over the best structure of this formula in the dataset, the calculation gives 7 meV per atom. Its space group is P2_1/c, No. 14.

---

Computed, not measured: a geometry-optimized Na7Mn16O32 structure at the GGA+U level of DFT.

a b c (Å): 8.6634 8.7876 10.4833
angles (deg): 114.38 114.20 89.76
Element x y z (fractional)
Mn 0.1235 0.3756 0.7498
Mn 0.8728 0.1306 0.7560
Mn 0.2503 0.2589 0.0054
Mn 0.4978 0.0088 0.5047
Mn 0.3704 0.1355 0.2503
Mn 0.6318 0.8711 0.7526
Mn 0.6264 0.3724 0.2459
Mn 0.3776 0.6205 0.7493
Mn 0.7531 0.7476 0.9992
Mn 0.7520 0.7469 0.5039
Mn 0.1223 0.8821 0.2500
Mn 0.5038 0.0016 0.9984
Mn 0.2441 0.2579 0.4882
Mn 0.0026 0.4945 0.0093
Mn 0.9942 0.4876 0.4904
Mn 0.8713 0.6169 0.2474
O 0.6498 0.6642 0.7783
O 0.9103 0.3708 0.7825
O 0.1420 0.1717 0.7833
O 0.2337 0.4940 0.5172
O 0.8474 0.8915 0.7347
O 0.5394 0.7612 0.5258
O 0.6068 0.0775 0.7302
O 0.0123 0.2613 0.9877
O 0.7641 0.4762 0.4671
O 0.5227 0.7355 0.9774
O 0.2776 0.0387 0.0170
O 0.3909 0.3485 0.2350
O 0.7786 0.5272 0.0173
O 0.1018 0.5798 0.7149
O 0.6529 0.6069 0.2686
O 0.8792 0.8341 0.2321
O 0.2522 0.0255 0.4765
O 0.3647 0.9223 0.2658
O 0.8590 0.3984 0.2555
O 0.7334 0.0163 0.5289
O 0.0235 0.2708 0.4895
O 0.9954 0.7332 0.0251
O 0.9699 0.7103 0.4782
O 0.3404 0.3844 0.7220
O 0.7300 0.9643 0.9868
O 0.4826 0.2651 0.0236
O 0.4113 0.8563 0.7693
O 0.1579 0.1442 0.2649
O 0.5938 0.1394 0.2260
O 0.0834 0.6164 0.2328
O 0.2249 0.4814 0.0155
O 0.4596 0.2457 0.4747
Na 0.6957 0.4353 0.6262
Na 0.3120 0.5579 0.3737
Na 0.4403 0.6934 0.1313
Na 0.1910 0.9386 0.6256
Na 0.8074 0.0613 0.3690
Na 0.5592 0.3136 0.8722
Na 0.0621 0.8150 0.8801

The raw total energy comes out at -0.248 Ha/atom. The calculation puts the energy relative to the elements at -1.9303 eV per atom. For the excess energy over the best structure of this formula in the dataset, the calculation gives 0 meV per atom. Its space group is P1, No. 1.

---

Computed, not measured: a geometry-optimized CaMo2O4 structure at the GGA+U level of DFT.

a b c (Å): 6.6149 6.6149 16.0771
angles (deg): 88.71 88.71 59.23
Element x y z (fractional)
O 0.3388 0.3388 0.4309
O 0.9580 0.5217 0.2450
O 0.6652 0.6652 0.5685
O 0.3065 0.8392 0.9053
O 0.6744 0.1754 0.0998
O 0.8158 0.3774 0.4237
O 0.1907 0.1907 0.5800
O 0.3232 0.3232 0.9097
O 0.0025 0.0025 0.7646
O 0.5217 0.9580 0.2450
O 0.3774 0.8158 0.4237
O 0.6740 0.6740 0.0991
O 0.4834 0.0443 0.7563
O 0.0004 0.0004 0.2334
O 0.8492 0.8492 0.9078
O 0.4796 0.4796 0.7528
O 0.1754 0.6744 0.0998
O 0.5254 0.5254 0.2469
O 0.0443 0.4834 0.7563
O 0.6260 0.1855 0.5770
O 0.8138 0.8138 0.4191
O 0.1614 0.1614 0.0875
O 0.8392 0.3065 0.9053
O 0.1855 0.6260 0.5770
Mo 0.3378 0.3378 0.0429
Mo 0.1653 0.1653 0.8325
Mo 0.1669 0.6681 0.8332
Mo 0.6681 0.1669 0.8332
Mo 0.3432 0.8334 0.1676
Mo 0.3360 0.3360 0.6670
Mo 0.0061 0.4981 0.5000
Mo 0.8357 0.8357 0.1677
Mo 0.6692 0.6692 0.3343
Mo 0.5021 0.5021 0.5000
Mo 0.8334 0.3432 0.1676
Mo 0.4981 0.0061 0.5000
Ca 0.0026 0.0026 0.6243
Ca 0.6676 0.6676 0.9553
Ca 0.0009 0.0009 0.9978
Ca 0.0018 0.0018 0.3756
Ca 0.6691 0.6691 0.7109
Ca 0.3363 0.3363 0.2903

The raw total energy comes out at -0.263 Ha/atom. The calculation puts the energy relative to the elements at -2.2487 eV per atom. For the excess energy over the best structure of this formula in the dataset, the calculation gives 48 meV per atom. Its space group is Cm, No. 8.

---

Computed, not measured: a geometry-optimized Li9Mn7O16 structure at the GGA+U level of DFT.

a b c (Å): 7.8435 7.8435 5.2744
angles (deg): 74.58 74.58 94.54
Element x y z (fractional)
O 0.2415 0.9936 0.7807
O 0.8614 0.8614 0.7643
O 0.1386 0.1386 0.2357
O 0.7585 0.0064 0.2193
O 0.6392 0.6392 0.2323
O 0.4925 0.7567 0.7734
O 0.5075 0.2433 0.2266
O 0.2433 0.5075 0.2266
O 0.9936 0.2415 0.7807
O 0.6138 0.1126 0.7683
O 0.3608 0.3608 0.7677
O 0.7567 0.4925 0.7734
O 0.1126 0.6138 0.7683
O 0.8874 0.3862 0.2317
O 0.3862 0.8874 0.2317
O 0.0064 0.7585 0.2193
Li 0.6203 0.3797 0.5000
Li 0.1262 0.8738 0.5000
Li 0.8738 0.1262 0.5000
Li 0.5000 0.0000 0.5000
Li 0.5000 0.5000 0.0000
Li 0.7416 0.7416 0.5085
Li 0.0000 0.5000 0.5000
Li 0.3797 0.6203 0.5000
Li 0.2584 0.2584 0.4915
Mn 0.8700 0.6210 0.9951
Mn 0.2534 0.7466 0.0000
Mn 0.7466 0.2534 0.0000
Mn 0.3790 0.1300 0.0049
Mn 0.6210 0.8700 0.9951
Mn 0.1300 0.3790 0.0049
Mn 0.0000 0.0000 0.0000

The raw total energy comes out at -0.236 Ha/atom. The calculation puts the energy relative to the elements at -2.1219 eV per atom. For the excess energy over the best structure of this formula in the dataset, the calculation gives 23 meV per atom. Its space group is C2/m, No. 12.

---

excess energy over the best structure of this formula in the dataset of number 2 (NiH14C3NCl3O2)? 223 meV per atom

---

Number 4 is which compound? Na7Mn16O32

---

The highest excess energy over the best structure of this formula in the dataset belongs to which entry? NiH14C3NCl3O2